[1]
# GGA+U Li9Mn2Co5O16, relaxed
data_Li9Mn2Co5O16
_space_group_name_H-M_alt 'C 1 2/m 1'
_space_group_IT_number 12
_space_group_name_Hall '-C 2y'
_cell_length_a 21.3666
_cell_length_b 2.9256
_cell_length_c 10.1748
_cell_angle_alpha 90.00
_cell_angle_beta 113.95
_cell_angle_gamma 90.00
loop_
_atom_site_label
_atom_site_type_symbol
_atom_site_fract_x
_atom_site_fract_y
_atom_site_fract_z
Li1 Li 0.0000 0.0000 0.0000
Li2 Li 0.1139 0.5000 0.1824
Li3 Li 0.1164 0.0000 0.9312
Li4 Li 0.1188 0.5000 0.6764
Li5 Li 0.1204 0.0000 0.4265
Mn1 Mn 0.2500 0.0000 0.8730
Co1 Co 0.0000 0.0000 0.5000
Co2 Co 0.0028 0.5000 0.7668
Co3 Co 0.2488 0.0000 0.3793
O1 O 0.0554 0.5000 0.4620
O2 O 0.0573 0.0000 0.2196
O3 O 0.0576 0.0000 0.7116
O4 O 0.0613 0.5000 0.9544
O5 O 0.1903 0.5000 0.4078
O6 O 0.1951 0.0000 0.1475
O7 O 0.1949 0.0000 0.6743
O8 O 0.1976 0.5000 0.9126
# Magnetic moment in μB/f.u.: 7.77
# E_form in eV/atom: -1.7588
# Energy in eV/atom: -5.749

[2]
# GGA+U NaEuBiWO6, relaxed
data_NaEuBiWO6
_space_group_name_H-M_alt 'F -4 3 m'
_space_group_IT_number 216
_space_group_name_Hall 'F -4 2 3'
_cell_length_a 8.5065
_cell_length_b 8.5065
_cell_length_c 8.5065
_cell_angle_alpha 90.00
_cell_angle_beta 90.00
_cell_angle_gamma 90.00
loop_
_atom_site_label
_atom_site_type_symbol
_atom_site_fract_x
_atom_site_fract_y
_atom_site_fract_z
Na1 Na 0.0000 0.0000 0.0000
Eu1 Eu 0.0000 0.0000 0.5000
Bi1 Bi 0.2500 0.2500 0.2500
W1 W 0.2500 0.2500 0.7500
O1 O 0.0210 0.2500 0.7500
# Magnetic moment in μB/f.u.: 7.00
# E_form in eV/atom: -2.2065
# Energy in eV/atom: -7.162

[3]
# GGA+U MnCdO3, relaxed
data_MnCdO3
_space_group_name_H-M_alt 'P m -3 m'
_space_group_IT_number 221
_space_group_name_Hall '-P 4 2 3'
_cell_length_a 3.8128
_cell_length_b 3.8128
_cell_length_c 3.8128
_cell_angle_alpha 90.00
_cell_angle_beta 90.00
_cell_angle_gamma 90.00
loop_
_atom_site_label
_atom_site_type_symbol
_atom_site_fract_x
_atom_site_fract_y
_atom_site_fract_z
Mn1 Mn 0.0000 0.0000 0.0000
Cd1 Cd 0.5000 0.5000 0.5000
O1 O 0.0000 0.0000 0.5000
# Magnetic moment in μB/f.u.: 3.24
# E_form in eV/atom: -1.4191
# Energy in eV/atom: -5.659